Computed, not measured: a relaxed structure of Y3Cr2Ga3O12 at the PBE with a Hubbard U level of DFT.

Cell lengths 10.7822, 10.7822, 10.7822 Å; angles 109.47, 109.47, 109.47 degrees
Element x y z (fractional)
Y: 0.1250 0.2500 0.3750
Y: 0.1250 0.3750 0.7500
Y: 0.2500 0.3750 0.1250
Y: 0.2500 0.8750 0.6250
Y: 0.3750 0.1250 0.2500
Y: 0.3750 0.7500 0.1250
Y: 0.6250 0.2500 0.8750
Y: 0.6250 0.8750 0.7500
Y: 0.7500 0.1250 0.3750
Y: 0.7500 0.6250 0.8750
Y: 0.8750 0.6250 0.2500
Y: 0.8750 0.7500 0.6250
Cr: 0.0000 0.0000 0.0000
Cr: 0.0000 0.0000 0.5000
Cr: 0.0000 0.5000 0.0000
Cr: 0.0000 0.5000 0.5000
Cr: 0.5000 0.0000 0.0000
Cr: 0.5000 0.0000 0.5000
Cr: 0.5000 0.5000 0.0000
Cr: 0.5000 0.5000 0.5000
Ga: 0.1250 0.7500 0.8750
Ga: 0.1250 0.8750 0.2500
Ga: 0.2500 0.1250 0.8750
Ga: 0.2500 0.6250 0.3750
Ga: 0.3750 0.2500 0.6250
Ga: 0.3750 0.6250 0.7500
Ga: 0.6250 0.3750 0.2500
Ga: 0.6250 0.7500 0.3750
Ga: 0.7500 0.3750 0.6250
Ga: 0.7500 0.8750 0.1250
Ga: 0.8750 0.1250 0.7500
Ga: 0.8750 0.2500 0.1250
O: 0.0289 0.2070 0.1241
O: 0.0289 0.3219 0.9048
O: 0.0829 0.7070 0.6781
O: 0.0829 0.8759 0.4048
O: 0.0952 0.6241 0.4171
O: 0.0952 0.9711 0.6781
O: 0.1241 0.0289 0.2070
O: 0.1241 0.5952 0.9171
O: 0.1781 0.2070 0.5829
O: 0.1781 0.4711 0.5952
O: 0.2070 0.1241 0.0289
O: 0.2070 0.5829 0.1781
O: 0.2930 0.3219 0.9171
O: 0.2930 0.4711 0.3759
O: 0.3219 0.9048 0.0289
O: 0.3219 0.9171 0.2930
O: 0.3759 0.2930 0.4711
O: 0.3759 0.5829 0.9048
O: 0.4048 0.0829 0.8759
O: 0.4048 0.8219 0.5289
O: 0.4171 0.0952 0.6241
O: 0.4171 0.8219 0.7930
O: 0.4711 0.3759 0.2930
O: 0.4711 0.5952 0.1781
O: 0.5289 0.4048 0.8219
O: 0.5289 0.6241 0.7070
O: 0.5829 0.1781 0.2070
O: 0.5829 0.9048 0.3759
O: 0.5952 0.1781 0.4711
O: 0.5952 0.9171 0.1241
O: 0.6241 0.4171 0.0952
O: 0.6241 0.7070 0.5289
O: 0.6781 0.0829 0.7070
O: 0.6781 0.0952 0.9711
O: 0.7070 0.5289 0.6241
O: 0.7070 0.6781 0.0829
O: 0.7930 0.4171 0.8219
O: 0.7930 0.8759 0.9711
O: 0.8219 0.5289 0.4048
O: 0.8219 0.7930 0.4171
O: 0.8759 0.4048 0.0829
O: 0.8759 0.9711 0.7930
O: 0.9048 0.0289 0.3219
O: 0.9048 0.3759 0.5829
O: 0.9171 0.1241 0.5952
O: 0.9171 0.2930 0.3219
O: 0.9711 0.6781 0.0952
O: 0.9711 0.7930 0.8759

Computed, not measured: a relaxed structure of GdCrO5 at the PBE with a Hubbard U level of DFT.

Cell lengths 8.3634, 11.5215, 11.3203 Å; angles 90.00, 131.56, 90.00 degrees
Element x y z (fractional)
Gd: 0.2144 0.0525 0.3433
Gd: 0.2144 0.4475 0.8433
Gd: 0.2689 0.5762 0.1854
Gd: 0.2689 0.9238 0.6854
Gd: 0.7311 0.0762 0.3146
Gd: 0.7311 0.4238 0.8146
Gd: 0.7856 0.5525 0.1567
Gd: 0.7856 0.9475 0.6567
Cr: 0.1410 0.1756 0.0001
Cr: 0.1410 0.3244 0.5001
Cr: 0.4030 0.6912 0.5426
Cr: 0.4030 0.8088 0.0426
Cr: 0.5970 0.1912 0.9574
Cr: 0.5970 0.3088 0.4574
Cr: 0.8590 0.6756 0.4999
Cr: 0.8590 0.8244 0.9999
O: 0.0266 0.5361 0.9136
O: 0.0266 0.9639 0.4136
O: 0.0411 0.5883 0.6499
O: 0.0411 0.9117 0.1499
O: 0.0962 0.1865 0.4333
O: 0.0962 0.3135 0.9333
O: 0.1324 0.1684 0.1413
O: 0.1324 0.3316 0.6413
O: 0.2231 0.6229 0.3700
O: 0.2231 0.8771 0.8700
O: 0.2887 0.7388 0.6086
O: 0.2887 0.7612 0.1086
O: 0.3826 0.1339 0.0784
O: 0.3826 0.3661 0.5784
O: 0.4039 0.1007 0.8245
O: 0.4039 0.3993 0.3245
O: 0.4684 0.5179 0.1107
O: 0.4684 0.9821 0.6107
O: 0.4967 0.6883 0.0187
O: 0.4967 0.8117 0.5187
O: 0.5033 0.1883 0.4813
O: 0.5033 0.3117 0.9813
O: 0.5316 0.0179 0.3893
O: 0.5316 0.4821 0.8893
O: 0.5961 0.6007 0.6755
O: 0.5961 0.8993 0.1755
O: 0.6174 0.6339 0.4216
O: 0.6174 0.8661 0.9216
O: 0.7113 0.2388 0.8914
O: 0.7113 0.2612 0.3914
O: 0.7769 0.1229 0.1300
O: 0.7769 0.3771 0.6300
O: 0.8676 0.6684 0.3587
O: 0.8676 0.8316 0.8587
O: 0.9038 0.6865 0.0667
O: 0.9038 0.8135 0.5667
O: 0.9589 0.0883 0.8501
O: 0.9589 0.4117 0.3501
O: 0.9734 0.0361 0.5864
O: 0.9734 0.4639 0.0864

Q: Which calculated total energy values were calculated for the entries above? A: -7.745 -8.443, in eV per atom.